NaEu2Cl6 | PBE-GGA | optimized geometry

The calculation puts the total energy at -155.8 eV per cell. As for the space-group type: P3 (143). For the size of the total moment, the calculation gives 1.44 μB per atom.

Unit cell a=13.018 b=13.018 c=4.447 alpha=90.00 beta=90.00 gamma=120.00
Element x y z (fractional)
Cl: 0.897 0.406 0.749
Eu: 0.669 0.669 0.250
Eu: 0.334 0.333 0.750
Cl: 0.510 0.103 0.749
Cl: 0.100 0.593 0.249
Cl: 0.236 0.074 0.748
Cl: 0.493 0.900 0.249
Cl: 0.838 0.764 0.748
Eu: 0.000 0.331 0.250
Eu: 0.667 0.000 0.750
Cl: 0.069 0.847 0.246
Na: 0.333 0.667 0.499
Eu: 0.331 0.000 0.250
Na: 0.000 0.000 0.752
Cl: 0.778 0.931 0.246
Cl: 0.259 0.824 0.753
Cl: 0.565 0.741 0.753
Cl: 0.407 0.507 0.249
Cl: 0.153 0.222 0.246
Cl: 0.825 0.561 0.254
Cl: 0.176 0.435 0.753
Na: 0.667 0.333 0.000
Cl: 0.594 0.490 0.749
Cl: 0.926 0.162 0.748
Cl: 0.737 0.175 0.254
Eu: 0.000 0.666 0.750
Cl: 0.439 0.263 0.254